[1]
DFT (PBE) results for crystalline AcZnAu2 at its relaxed geometry.

Cell lengths 5.1750, 5.1750, 5.1750 Å; angles 60.00, 60.00, 60.00 degrees
Sites, in units of the cell vectors:
Ac 0.0000 0.0000 0.0000
Zn 0.5000 0.5000 0.5000
Au 0.2500 0.2500 0.2500
Au 0.7500 0.7500 0.7500

Results
Its symmetry is No. 225. As for the energy of formation: -2.2 eV per formula unit. As for the crystal system: cubic. The value obtained for the volume is 98.0 Å³ per cell.

[2]
DFT (PBE) results for crystalline AcBO3 at its relaxed geometry.

Cell lengths 3.7217, 3.7217, 3.7217 Å; angles 90.00, 90.00, 90.00 degrees
Sites, in units of the cell vectors:
Ac 0.0000 0.0000 0.0000
B 0.5000 0.5000 0.5000
O 0.0000 0.5000 0.5000
O 0.5000 0.0000 0.5000
O 0.5000 0.5000 0.0000

Results
Its symmetry is No. 221. As for the energy of formation: -12.4 eV per formula unit. As for the crystal system: cubic. The value obtained for the volume is 51.5 Å³ per cell.

[3]
DFT (PBE) results for crystalline BaAc3 at its relaxed geometry.

Cell lengths 8.2404, 8.2404, 6.5891 Å; angles 90.00, 90.00, 120.00 degrees
Sites, in units of the cell vectors:
Ba 0.3333 0.6667 0.2500
Ba 0.6667 0.3333 0.7500
Ac 0.1620 0.3240 0.7500
Ac 0.1620 0.8380 0.7500
Ac 0.3240 0.1620 0.2500
Ac 0.6760 0.8380 0.7500
Ac 0.8380 0.1620 0.2500
Ac 0.8380 0.6760 0.2500

Results
Its symmetry is No. 194. As for the energy of formation: 0.4 eV per formula unit. As for the crystal system: hexagonal. The value obtained for the volume is 387.5 Å³ per cell.

[4]
DFT (PBE) results for crystalline Ac3Br at its relaxed geometry.

Cell lengths 7.9417, 7.9417, 5.8573 Å; angles 90.00, 90.00, 120.00 degrees
Sites, in units of the cell vectors:
Ac 0.1709 0.3417 0.2500
Ac 0.1709 0.8291 0.2500
Ac 0.3417 0.1709 0.7500
Ac 0.6583 0.8291 0.2500
Ac 0.8291 0.1709 0.7500
Ac 0.8291 0.6583 0.7500
Br 0.3333 0.6667 0.7500
Br 0.6667 0.3333 0.2500

Results
Its symmetry is No. 194. As for the energy of formation: -1.0 eV per formula unit. As for the crystal system: hexagonal. The value obtained for the volume is 319.9 Å³ per cell.